[1]
Below is a relaxed Ge9Sb10Te24 crystal, with properties calculated at the PBE level.

V: 1413.5 Å³/f.u.
total energy after the MP2020 corrections: -3.92 eV/atom
formation energy from the elements: -0.236 eV/atom

a b c (Å): 6.1430 6.1964 37.1444
angles (deg): 91.06 90.53 90.35
With the nearest neighbours (Å) after each atom.
Element x y z (fractional)
Te 0.9924 0.9959 0.1677  4 Sb 3.07-3.15, 2 Ge 3.13-3.24
Ge 0.5287 0.4706 0.5842  4 Te 2.88-3.19
Te 0.5068 0.4960 0.8328  2 Sb 2.97-3.26, 4 Ge 3.00-3.31
Te 0.4929 0.4919 0.1634  1 Ge 2.92, 4 Sb 3.07-3.20
Sb 0.9733 0.4888 0.3420  3 Te 2.81-3.07
Sb 0.4951 0.9784 0.5033  6 Te 2.93-3.19
Te 0.9948 0.9967 0.3326  2 Ge 3.02-3.23, 4 Sb 3.07-3.17
Te 0.9976 0.9890 0.4979  1 Ge 2.93, 4 Sb 3.06-3.11
Sb 0.5011 0.9855 0.0000  6 Te 3.03-3.15
Sb 0.9888 0.4902 0.1748  5 Te 2.82-3.15
Te 0.4950 0.4929 0.9990  4 Sb 3.05-3.15, 2 Ge 3.21
Te 0.4837 0.0066 0.9177  1 Ge 2.82, 2 Sb 2.92-3.06
Te 0.4947 0.0037 0.0820  3 Ge 2.91-3.17, 1 Sb 3.05
Ge 0.0210 0.9595 0.2515  3 Te 2.77-3.02
Sb 0.9964 0.4896 0.5059  5 Te 2.87-3.11
Te 0.5064 0.4915 0.6650  1 Sb 2.87, 2 Ge 2.98-3.01
Te 0.9926 0.5009 0.9164  1 Sb 2.79, 1 Ge 2.80
Ge 0.0036 0.9807 0.5925  1 Te 2.65
Ge 0.5271 0.4725 0.0852  3 Te 2.85-2.92
Sb 0.4756 0.9728 0.8391  3 Te 2.86-2.97
Te 0.9904 0.5089 0.0841  2 Ge 2.85
Te 0.4946 0.4904 0.4986  4 Sb 3.03-3.18, 1 Ge 3.19
Te 0.4842 0.0109 0.7494  1 Sb 2.82, 1 Ge 2.83
Te 0.9935 0.9925 0.0026  1 Ge 2.90, 4 Sb 3.03-3.14
Sb 0.4904 0.9648 0.3419  4 Te 2.83-3.13
Sb 0.4933 0.9835 0.1766  4 Te 2.78-3.09
Ge 0.0093 0.9677 0.0806  4 Te 2.85-3.17
Ge 0.5383 0.4575 0.9129  3 Te 2.80-3.00
Te 0.4924 0.4983 0.3281  3 Sb 2.93-3.24
Te 0.0064 0.5024 0.7536  2 Ge 2.68-2.74
Te 0.0027 0.0080 0.6638  1 Ge 2.65
Te 0.5045 0.0067 0.5821  3 Ge 2.88-3.11, 1 Sb 2.93
Ge 0.0218 0.9598 0.4192  3 Te 2.78-2.93
Ge 0.5651 0.4592 0.7445  3 Te 2.74-2.98
Ge 0.0081 0.5239 0.8256  2 Te 2.68-2.91
Te 0.0126 0.9929 0.8313  1 Sb 2.86, 1 Ge 2.91
Te 0.4904 0.0108 0.2514  1 Sb 2.78, 1 Ge 2.90
Te 0.0060 0.5126 0.2508  1 Ge 2.77, 1 Sb 2.82
Sb 0.9949 0.4892 0.9913  4 Te 2.79-3.11
Te 0.9994 0.5003 0.5832  1 Sb 2.87, 2 Ge 2.90-2.99
Te 0.4885 0.0127 0.4178  1 Sb 2.83, 1 Ge 2.88
Te 0.0006 0.5108 0.4175  1 Ge 2.78, 1 Sb 2.81
Sb 0.4827 0.9515 0.6740  3 Te 2.82-2.99



[2]
Below is a relaxed Ge13Sb13Te32 crystal, with properties calculated at the PBE level.

V: 1882.4 Å³/f.u.
total energy after the MP2020 corrections: -3.98 eV/atom
formation energy from the elements: -0.288 eV/atom

a b c (Å): 12.3554 12.4229 12.2678
angles (deg): 90.01 90.26 88.62
With the nearest neighbours (Å) after each atom.
Element x y z (fractional)
Te 0.5111 0.5025 0.7472  2 Ge 2.82-3.05, 1 Sb 2.84
Te 0.2626 0.5041 0.4998  3 Sb 2.86-3.19, 1 Ge 3.10
Te 0.9967 0.2583 0.5049  2 Sb 2.84-2.99, 1 Ge 3.08
Te 0.7507 0.5053 0.4941  3 Ge 2.71-2.93
Ge 0.7323 0.4910 0.2597  3 Te 2.78-2.89
Ge 0.7392 0.4966 0.7657  3 Te 2.82-2.87
Sb 0.5059 0.7313 0.7411  4 Te 2.84-3.16
Te 0.2504 0.0129 0.0015  3 Ge 2.82-3.12, 2 Sb 3.11-3.14
Te 0.7532 0.0119 0.0030  2 Ge 2.77-3.09, 1 Sb 3.00
Sb 0.5017 0.0096 0.9976  6 Te 3.02-3.14
Te 0.7605 0.5005 0.9963  1 Sb 2.79, 1 Ge 2.84
Te 0.5080 0.5109 0.2547  3 Ge 2.73-2.99
Ge 0.2308 0.9901 0.2502  2 Te 2.74-2.92
Te 0.2512 0.7586 0.7552  2 Ge 2.93-3.04, 3 Sb 3.16-3.19
Ge 0.5049 0.7310 0.2483  4 Te 2.73-3.05
Te 0.0042 0.2578 0.9921  2 Ge 2.77-2.92, 1 Sb 2.95
Te 0.4992 0.0033 0.7515  2 Sb 2.82-3.02, 1 Ge 3.16
Sb 0.2408 0.7335 0.4976  4 Te 2.86-3.18
Te 0.0003 0.4991 0.7431  2 Sb 2.85-2.86
Te 0.7520 0.7556 0.7466  3 Sb 3.01-3.08, 2 Ge 3.06-3.23
Sb 0.5103 0.2298 0.7474  4 Te 2.82-3.08
Te 0.0100 0.7638 0.9988  1 Ge 2.90, 3 Sb 3.07-3.19
Ge 0.7372 0.2357 0.4968  3 Te 2.77-3.02
Sb 0.9951 0.7294 0.7515  5 Te 2.86-3.19
Ge 0.7374 0.2347 0.9997  3 Te 2.77-3.06
Te 0.2498 0.2559 0.7558  3 Sb 2.94-3.23, 3 Ge 3.04-3.25
Te 0.0013 0.7619 0.5008  4 Sb 2.97-3.18, 1 Ge 3.31
Sb 0.2310 0.4922 0.7578  4 Te 2.85-3.19
Ge 0.5137 0.5068 0.4984  6 Te 2.93-3.12
Te 0.7485 0.7581 0.2573  3 Ge 2.94-3.04, 2 Sb 3.08-3.24
Te 0.5146 0.0058 0.2536  1 Ge 2.83, 2 Sb 2.90-3.14
Sb 0.2249 0.4892 0.2435  3 Te 2.82-3.05
Te 0.5016 0.7638 0.0049  2 Ge 3.01-3.25, 3 Sb 3.02-3.26
Te 0.2585 0.7561 0.2445  3 Ge 2.92-3.05, 2 Sb 3.13-3.24
Ge 0.7376 0.7230 0.4996  3 Te 2.71-3.01
Te 0.2759 0.5058 0.0010  1 Ge 2.75, 2 Sb 3.04-3.05
Ge 0.2279 0.2397 0.0020  4 Te 2.77-3.04
Ge 0.9984 0.2385 0.7551  5 Te 2.82-3.12
Te 0.5113 0.2659 0.5001  2 Ge 2.81-2.99, 2 Sb 3.07-3.11
Te 0.5091 0.7577 0.4968  3 Ge 2.85-3.12, 1 Sb 3.02
Te 0.5102 0.2588 0.9968  1 Ge 2.82, 3 Sb 3.08-3.10
Te 0.2531 0.2538 0.2445  3 Sb 2.94-3.23, 1 Ge 3.00
Te 0.7549 0.0132 0.4940  2 Ge 2.77-2.96, 1 Sb 2.92
Te 0.2583 0.0073 0.4997  1 Sb 2.86, 2 Ge 3.06-3.09
Te 0.0090 0.0062 0.2491  1 Ge 2.74, 1 Sb 3.03
Sb 0.9973 0.7370 0.2484  4 Te 2.88-3.11
Sb 0.2262 0.2360 0.4960  3 Te 2.84-3.11
Te 0.9968 0.5053 0.2512  2 Sb 2.82-2.88
Sb 0.5146 0.2388 0.2481  5 Te 2.90-3.23
Te 0.7561 0.2661 0.7532  4 Ge 2.87-3.18, 1 Sb 3.08
Te 0.7523 0.2611 0.2522  3 Ge 2.86-3.12, 1 Sb 2.96
Te 0.0106 0.0115 0.7508  2 Ge 2.82-2.89, 2 Sb 3.10
Sb 0.9958 0.0208 0.0028  6 Te 2.95-3.19
Ge 0.7436 0.9946 0.2538  4 Te 2.83-3.09
Ge 0.2426 0.7251 0.0008  4 Te 2.75-3.04
Ge 0.2439 0.9946 0.7483  5 Te 2.89-3.16
Sb 0.7439 0.7246 0.9957  3 Te 2.79-3.08
Sb 0.9914 0.0177 0.4990  5 Te 2.92-3.18



[3]
Below is a relaxed GeSb4Te4 crystal, with properties calculated at the PBE level.

V: 282.5 Å³/f.u.
total energy after the MP2020 corrections: -4.01 eV/atom
formation energy from the elements: -0.267 eV/atom

a b c (Å): 4.3342 4.3342 17.3673
angles (deg): 90.00 90.00 120.00
With the nearest neighbours (Å) after each atom.
Element x y z (fractional)
Te 0.6667 0.3333 0.0982  3 Ge 3.03, 3 Sb 3.21
Sb 0.6667 0.3333 0.7858  6 Te 3.03-3.21
Te 0.0000 0.0000 0.3128  3 Sb 3.03
Sb 0.3333 0.6667 0.2142  6 Te 3.03-3.21
Sb 0.3333 0.6667 0.5445  3 Sb 2.94
Te 0.3333 0.6667 0.9018  3 Ge 3.03, 3 Sb 3.21
Te 0.0000 0.0000 0.6872  3 Sb 3.03
Ge 0.0000 0.0000 0.0000  6 Te 3.03
Sb 0.6667 0.3333 0.4555  3 Sb 2.94



[4]
Below is a relaxed TiGeSb crystal, with properties calculated at the PBE level.

V: 57.3 Å³/f.u.
total energy after the MP2020 corrections: -6.04 eV/atom
formation energy from the elements: -0.489 eV/atom

a b c (Å): 3.7240 3.7240 8.2685
angles (deg): 90.00 90.00 90.00
With the nearest neighbours (Å) after each atom.
Element x y z (fractional)
Ti 0.5000 0.0000 0.2482  4 Ge 2.77, 5 Sb 2.86-3.04
Ge 0.5000 0.5000 0.0000  4 Ge 2.63, 4 Ti 2.77
Sb 0.5000 0.0000 0.6158  5 Ti 2.86-3.04
Sb 0.0000 0.5000 0.3842  5 Ti 2.86-3.04
Ti 0.0000 0.5000 0.7518  4 Ge 2.77, 5 Sb 2.86-3.04
Ge 0.0000 0.0000 0.0000  4 Ge 2.63, 4 Ti 2.77



[5]
Below is a relaxed Tm5Ge2Sb2 crystal, with properties calculated at the PBE level.

V: 228.9 Å³/f.u.
total energy after the MP2020 corrections: -5.41 eV/atom
formation energy from the elements: -0.978 eV/atom

a b c (Å): 8.4397 8.4397 7.8325
angles (deg): 90.00 90.00 124.87
With the nearest neighbours (Å) after each atom.
Element x y z (fractional)
Ge 0.8613 0.8613 0.3622  8 Tm 2.90-3.04, 1 Ge 3.06
Tm 0.2088 0.4632 0.8366  3 Ge 2.90-3.04, 3 Sb 3.09-3.15
Sb 0.7949 0.2051 0.0000  7 Tm 3.07-3.15
Ge 0.6387 0.6387 0.8622  8 Tm 2.90-3.04, 1 Ge 3.06
Tm 0.4632 0.2088 0.8366  3 Ge 2.90-3.04, 3 Sb 3.09-3.15
Sb 0.2051 0.7949 0.0000  7 Tm 3.07-3.15
Tm 0.0368 0.2912 0.3366  3 Ge 2.90-3.04, 3 Sb 3.09-3.15
Tm 0.2912 0.0368 0.3366  3 Ge 2.90-3.04, 3 Sb 3.09-3.15
Sb 0.2949 0.7051 0.5000  7 Tm 3.07-3.15
Ge 0.3613 0.3613 0.1378  8 Tm 2.90-3.04, 1 Ge 3.06
Tm 0.9632 0.7088 0.6634  3 Ge 2.90-3.04, 3 Sb 3.09-3.15
Tm 0.7912 0.5368 0.1634  3 Ge 2.90-3.04, 3 Sb 3.09-3.15
Tm 0.5000 0.5000 0.5000  4 Ge 3.02-3.04, 2 Sb 3.07
Sb 0.7051 0.2949 0.5000  7 Tm 3.07-3.15
Tm 0.7088 0.9632 0.6634  3 Ge 2.90-3.04, 3 Sb 3.09-3.15
Ge 0.1387 0.1387 0.6378  8 Tm 2.90-3.04, 1 Ge 3.06
Tm 0.5368 0.7912 0.1634  3 Ge 2.90-3.04, 3 Sb 3.09-3.15
Tm 0.0000 0.0000 0.0000  4 Ge 3.02-3.04, 2 Sb 3.07



[6]
Below is a relaxed ZrGeSb crystal, with properties calculated at the PBE level.

V: 64.4 Å³/f.u.
total energy after the MP2020 corrections: -6.42 eV/atom
formation energy from the elements: -0.656 eV/atom

a b c (Å): 3.8434 3.8434 8.7232
angles (deg): 90.00 90.00 90.00
With the nearest neighbours (Å) after each atom.
Element x y z (fractional)
Ge 0.5000 0.5000 0.0000  4 Ge 2.72, 4 Zr 2.90
Sb 0.5000 0.0000 0.6110  5 Zr 2.98-3.15
Ge 0.0000 0.0000 0.0000  4 Ge 2.72, 4 Zr 2.90
Sb 0.0000 0.5000 0.3890  5 Zr 2.98-3.15
Zr 0.0000 0.5000 0.7504  4 Ge 2.90, 5 Sb 2.98-3.15
Zr 0.5000 0.0000 0.2496  4 Ge 2.90, 5 Sb 2.98-3.15



[7]
Below is a relaxed Zr4GeSb7 crystal, with properties calculated at the PBE level.

V: 285.4 Å³/f.u.
total energy after the MP2020 corrections: -6.32 eV/atom
formation energy from the elements: -0.674 eV/atom

a b c (Å): 3.9931 7.3808 9.6827
angles (deg): 89.55 90.00 90.00
With the nearest neighbours (Å) after each atom.
Element x y z (fractional)
Sb 0.5000 0.1342 0.0460  4 Sb 2.94-3.14, 4 Zr 2.97-3.12
Zr 0.0000 0.2636 0.8317  1 Ge 2.87, 7 Sb 3.01-3.14
Sb 0.0000 0.8686 0.9532  4 Sb 2.94-3.15, 4 Zr 2.95-3.14
Sb 0.5000 0.0793 0.6413  5 Zr 3.05-3.13, 2 Ge 3.06
Ge 0.0000 0.3681 0.5456  4 Sb 2.82-3.06, 4 Zr 2.87-3.10
Zr 0.5000 0.7399 0.1652  9 Sb 3.00-3.32
Sb 0.0000 0.4327 0.1496  5 Zr 3.03-3.33, 2 Sb 3.14
Zr 0.0000 0.7584 0.6605  8 Sb 2.95-3.21, 1 Ge 3.10
Sb 0.5000 0.6142 0.4608  2 Ge 2.82, 4 Zr 2.98-3.00
Sb 0.0000 0.9310 0.3548  5 Zr 3.04-3.21, 2 Sb 3.24
Sb 0.5000 0.5682 0.8498  5 Zr 3.01-3.32, 2 Sb 3.15
Zr 0.5000 0.2418 0.3414  2 Ge 2.97, 7 Sb 2.97-3.13



[8]
Below is a relaxed Zr2GeSb2 crystal, with properties calculated at the PBE level.

V: 132.9 Å³/f.u.
total energy after the MP2020 corrections: -5.75 eV/atom
formation energy from the elements: 0.248 eV/atom

a b c (Å): 3.0046 3.0046 14.7162
angles (deg): 90.00 90.00 90.00
With the nearest neighbours (Å) after each atom.
Element x y z (fractional)
Zr 0.5000 0.5000 0.8158  1 Ge 2.71, 4 Zr 3.00, 1 Sb 3.02
Sb 0.5000 0.5000 0.3891  5 Sb 3.00-3.26, 1 Zr 3.02
Sb 0.5000 0.5000 0.6109  5 Sb 3.00-3.26, 1 Zr 3.02
Ge 0.5000 0.5000 0.0000  2 Zr 2.71, 4 Ge 3.00
Zr 0.5000 0.5000 0.1842  1 Ge 2.71, 4 Zr 3.00, 1 Sb 3.02